The following is a DFT calculation (r²SCAN) of Hf2NiP after structural relaxation.

Properties
The formation energy comes out at -1.043 eV/atom. The value obtained for the total magnetic moment is 0.0 μB/f.u. The final energy comes out at -230.91 eV per cell.

The structure in CIF format:
```
data_Hf2NiP
_symmetry_space_group_name_H-M 'P 1 21/m 1'
_symmetry_Int_Tables_number 11
_cell_length_a 5.1479
_cell_length_b 3.5665
_cell_length_c 7.3908
_cell_angle_alpha 90.00
_cell_angle_beta 109.38
_cell_angle_gamma 90.00
loop_
_symmetry_equiv_pos_as_xyz
'x,y,z'
'-x,-y,-z'
'-x,y+1/2,-z'
'x,-y+1/2,z'
loop_
_atom_site_label
_atom_site_type_symbol
_atom_site_fract_x
_atom_site_fract_y
_atom_site_fract_z
_atom_site_occupancy
Hf1 Hf 0.2141 0.2500 0.4255 1
Hf2 Hf 0.2784 0.7500 0.0714 1
Ni1 Ni 0.1454 0.2500 0.7927 1
P1 P 0.3600 0.7500 0.7095 1
```

=====

The following is a DFT calculation (r²SCAN) of TiNb after structural relaxation.

Properties
The formation energy comes out at 0.054 eV/atom. The value obtained for the total magnetic moment is 0.0 μB/f.u. The final energy comes out at -75.13 eV per cell.

The structure in CIF format:
```
data_TiNb
_symmetry_space_group_name_H-M 'C m m m'
_symmetry_Int_Tables_number 65
_symmetry_space_group_name_Hall '-C 2 2'
_cell_length_a 3.2820
_cell_length_b 4.6361
_cell_length_c 4.6459
_cell_angle_alpha 90.00
_cell_angle_beta 90.00
_cell_angle_gamma 90.00
loop_
_atom_site_label
_atom_site_type_symbol
_atom_site_fract_x
_atom_site_fract_y
_atom_site_fract_z
_atom_site_occupancy
Ti1 Ti 0.0000 0.0000 0.0000 1
Nb1 Nb 0.0000 0.5000 0.5000 1
```

=====

Q: Which formula does entry 2 have?
A: TiNb